Record 1
NdBiO4 | GGA-PBE | relaxed

Values from the calculation:
DFT total energy = -160.6 eV for the cell shown
Energy of formation = -232.4 kJ/mol of atoms

a = 7.4479 Å, b = 11.5286 Å, c = 5.3857 Å
α = 90.00°, β = 130.20°, γ = 90.00°
With the nearest neighbours (Å) after each atom.
Space group C2/c (No. 15)
Symmetry-distinct sites (fractional):
Nd  0.0000  0.1366  0.2500  8 O 2.39-2.65
Bi  0.0000  0.4004  0.7500  4 O 2.07-2.14
O  0.1678  0.2841  0.6664  1 Bi 2.07
O  0.2405  0.4728  0.2289  2 Bi 2.14-2.37



Record 2
DySCl | GGA-PBE | relaxed

Values from the calculation:
DFT total energy = -68.4 eV for the cell shown
Energy of formation = -245.2 kJ/mol of atoms

a = 6.6674 Å, b = 6.6958 Å, c = 6.8103 Å
α = 90.00°, β = 100.88°, γ = 90.00°
With the nearest neighbours (Å) after each atom.
Space group P2_1/c (No. 14)
Symmetry-distinct sites (fractional):
Dy  0.1883  0.0440  0.2939  4 S 2.73-2.75, 3 Cl 2.81-2.85
S  0.0623  0.7419  0.5113  4 Dy 2.73-2.75
Cl  0.4349  0.1617  0.6645  3 Dy 2.81-2.85



Record 3
LaSi2Ag | GGA-PBE | relaxed

Values from the calculation:
DFT total energy = -83.3 eV for the cell shown
Energy of formation = -53.2 kJ/mol of atoms

a = 4.3621 Å, b = 17.6593 Å, c = 4.2838 Å
α = 90.00°, β = 90.00°, γ = 90.00°
With the nearest neighbours (Å) after each atom.
Space group Cmcm (No. 63)
Symmetry-distinct sites (fractional):
La  0.0000  0.0981  0.2500  10 Si 3.18-3.28, 4 Ag 3.41-3.48
Si  0.0000  0.3345  0.2500  1 Si 2.35, 2 Ag 2.62
Si  0.0000  0.4673  0.2500  3 Si 2.35-2.43
Ag  0.0000  0.2481  0.7500  4 Si 2.62-2.63



Record 4
Na30Ca4Ta20Si33S3O144 | GGA-PBE | relaxed

Values from the calculation:
DFT total energy = -1797.0 eV for the cell shown
Energy of formation = -291.6 kJ/mol of atoms

a = 9.0773 Å, b = 15.7384 Å, c = 22.6695 Å
α = 89.87°, β = 89.93°, γ = 90.00°
With the nearest neighbours (Å) after each atom.
Space group P1 (No. 1)
Symmetry-distinct sites (fractional):
Na  0.0000  0.0000  0.0000  5 O 2.39-2.65
Na  0.0033  0.3067  0.3310  3 O 2.41-2.55
Na  0.0233  0.9709  0.6683  4 O 2.33-2.53
Na  0.1130  0.4645  0.1699  5 O 2.35-2.57
Na  0.1165  0.1315  0.5044  5 O 2.37-2.64
Na  0.1320  0.8112  0.8298  5 O 2.42-2.68
Na  0.1534  0.1614  0.8303  5 O 2.46-2.75
Na  0.3095  0.9751  0.5875  2 O 2.27-2.53
Na  0.3127  0.3233  0.7533  6 O 2.56-2.70
Na  0.3139  0.6387  0.9165  6 O 2.52-2.73
Na  0.3281  0.3106  0.2535  6 O 2.47-2.76
Na  0.3289  0.9826  0.0828  6 O 2.55-2.66
Na  0.3307  0.6434  0.4168  6 O 2.52-2.77
Na  0.4542  0.1468  0.6778  4 O 2.30-2.53
Na  0.5214  0.4672  0.6733  4 O 2.31-2.47
Na  0.6373  0.3131  0.8306  5 O 2.49-2.69
Na  0.6426  0.0060  0.4988  4 O 2.37-2.65
Na  0.6465  0.3353  0.1734  3 O 2.28-2.46
Na  0.6553  0.6587  0.8301  4 O 2.40-2.60
Na  0.6975  0.3119  0.5050  5 O 2.38-2.58
Na  0.7050  0.6492  0.1712  5 O 2.35-2.51
Na  0.8035  0.1498  0.9184  6 O 2.53-2.69
Na  0.8045  0.8159  0.7491  5 O 2.49-2.79
Na  0.8096  0.8222  0.2466  6 O 2.47-2.75
Na  0.8105  0.1532  0.4192  4 O 2.39-2.53
Na  0.8125  0.4953  0.5855  2 O 2.34-2.55
Na  0.8344  0.4834  0.0799  5 O 2.46-2.62
Na  0.9494  0.9851  0.3313  4 O 2.39-2.50
Na  0.9814  0.3353  0.6713  4 O 2.31-2.55
Na  0.9859  0.6615  0.3294  7 O 2.47-2.75
Ca  0.3195  0.9781  0.7344  6 O 2.16-2.36
Ca  0.8197  0.4909  0.7333  5 O 2.18-2.34
Ca  0.8214  0.1507  0.5606  6 O 2.14-2.32
Ca  0.8215  0.4830  0.2332  6 O 2.20-2.44
Ta  0.3131  0.3090  0.0997  5 O 1.86-2.05
Ta  0.3143  0.6588  0.0562  5 O 1.91-2.02
Ta  0.3154  0.9810  0.4367  6 O 1.94-2.05
Ta  0.3159  0.6585  0.2730  5 O 1.92-2.02
Ta  0.3174  0.9859  0.2258  6 O 1.96-2.04
Ta  0.3182  0.3197  0.9001  6 O 1.92-2.03
Ta  0.3194  0.3130  0.6000  5 O 1.89-2.05
Ta  0.3215  0.6588  0.7727  5 O 1.94-2.02
Ta  0.3217  0.6573  0.5558  5 O 1.90-2.02
Ta  0.3227  0.9844  0.9346  6 O 1.94-2.08
Ta  0.3248  0.3209  0.3954  6 O 1.93-2.12
Ta  0.8119  0.8159  0.3943  6 O 1.92-2.12
Ta  0.8147  0.1500  0.0609  6 O 1.91-2.07
Ta  0.8165  0.1517  0.2703  6 O 1.95-2.07
Ta  0.8168  0.8176  0.9003  6 O 1.94-1.99
Ta  0.8188  0.4868  0.4339  6 O 1.96-2.07
Ta  0.8193  0.8209  0.1053  6 O 1.95-2.06
Ta  0.8199  0.4857  0.9367  6 O 1.96-2.03
Ta  0.8231  0.1575  0.7709  5 O 1.95-2.02
Ta  0.8236  0.8086  0.6013  5 O 1.88-1.99
Si  0.0164  0.9832  0.8319  4 O 1.60-1.68
Si  0.0299  0.3240  0.4954  4 O 1.60-1.69
Si  0.0325  0.6548  0.1637  4 O 1.61-1.67
Si  0.1080  0.8205  0.9996  4 O 1.61-1.65
Si  0.1183  0.1527  0.6625  4 O 1.59-1.72
Si  0.1185  0.4841  0.3299  4 O 1.60-1.67
Si  0.1679  0.7930  0.6632  4 O 1.58-1.68
Si  0.1703  0.1681  0.9971  4 O 1.61-1.68
Si  0.1709  0.4630  0.0024  4 O 1.63-1.67
Si  0.1719  0.8426  0.3309  4 O 1.62-1.65
Si  0.1780  0.1295  0.3319  4 O 1.63-1.66
Si  0.4548  0.1684  0.4968  4 O 1.59-1.70
Si  0.4630  0.7961  0.1650  4 O 1.63-1.66
Si  0.4658  0.4632  0.5000  4 O 1.63-1.67
Si  0.4685  0.1337  0.8317  4 O 1.59-1.67
Si  0.4742  0.8386  0.8331  4 O 1.56-1.70
Si  0.5201  0.4839  0.8322  4 O 1.59-1.66
Si  0.5297  0.1508  0.1656  4 O 1.62-1.67
Si  0.5324  0.8204  0.5004  4 O 1.63-1.64
Si  0.6028  0.9846  0.3319  4 O 1.63-1.66
Si  0.6036  0.6557  0.6631  4 O 1.59-1.68
Si  0.6109  0.3194  0.0010  4 O 1.63-1.67
Si  0.6658  0.2995  0.6620  4 O 1.58-1.72
Si  0.6671  0.9616  0.0015  4 O 1.63-1.64
Si  0.6676  0.6312  0.3294  4 O 1.60-1.66
Si  0.6721  0.3359  0.3305  4 O 1.59-1.68
Si  0.6794  0.6706  0.0031  4 O 1.63-1.65
Si  0.9622  0.0069  0.1654  4 O 1.64-1.65
Si  0.9639  0.6706  0.4950  4 O 1.63-1.67
Si  0.9662  0.6329  0.8340  4 O 1.59-1.66
Si  0.9680  0.9559  0.4978  4 O 1.60-1.66
Si  0.9691  0.2918  0.1641  4 O 1.60-1.67
Si  0.9738  0.3415  0.8302  4 O 1.58-1.71
S  0.1832  0.5091  0.6626  4 O 1.45-1.52
S  0.4524  0.5085  0.1639  4 O 1.47-1.50
S  0.6817  0.0010  0.6658  4 O 1.45-1.51
O  0.0071  0.8069  0.9419  1 Si 1.61
O  0.0252  0.4948  0.6638  1 S 1.45
O  0.0304  0.1366  0.6031  1 Si 1.59
O  0.0418  0.4578  0.2693  1 Si 1.60
O  0.0960  0.9543  0.7725  1 Si 1.60
O  0.1348  0.0000  0.8876  1 Si 1.68
O  0.1373  0.3312  0.5562  1 Si 1.69
O  0.1374  0.6596  0.2242  1 Si 1.67
O  0.1396  0.3155  0.4390  1 Si 1.63
O  0.1414  0.6591  0.5040  1 Si 1.63
O  0.1419  0.9975  0.1728  1 Si 1.65
O  0.1456  0.3163  0.8448  1 Si 1.64
O  0.1469  0.6411  0.8250  1 Si 1.66
O  0.1483  0.9659  0.4929  1 Si 1.65
O  0.1504  0.6471  0.1089  1 Si 1.64
O  0.1517  0.3036  0.1597  1 Si 1.67
O  0.2030  0.2489  0.6620  1 Si 1.70
O  0.2035  0.9039  0.2749  1 Si 1.62
O  0.2073  0.0670  0.3900  1 Si 1.66
O  0.2071  0.9064  0.9924  1 Si 1.63
O  0.2085  0.4027  0.0612  1 Si 1.67
O  0.2091  0.2274  0.9410  1 Si 1.61
O  0.2108  0.7382  0.7243  1 Si 1.68
O  0.2122  0.5741  0.3257  1 Si 1.66
O  0.2159  0.7366  0.0046  1 Si 1.65
O  0.2213  0.5569  0.6086  1 S 1.48
O  0.2235  0.7346  0.6073  1 Si 1.64
O  0.2269  0.4033  0.3433  1 Si 1.64
O  0.2335  0.0765  0.6687  1 Si 1.60
O  0.2327  0.8863  0.6601  1 Si 1.58
O  0.2371  0.2271  0.3382  1 Si 1.63
O  0.2411  0.5518  0.7165  1 S 1.49
O  0.2425  0.7465  0.3244  1 Si 1.65
O  0.2438  0.0738  0.9928  1 Si 1.63
O  0.2438  0.2178  0.0553  1 Si 1.68, 1 Ta 1.86
O  0.2445  0.4116  0.9473  1 Si 1.63
O  0.2458  0.8864  0.3894  1 Si 1.64
O  0.2479  0.5572  0.0090  1 Si 1.65
O  0.2492  0.0805  0.2751  1 Si 1.63
O  0.2616  0.4240  0.6613  1 S 1.52
O  0.3694  0.0767  0.4942  1 Si 1.64
O  0.3817  0.4222  0.1618  1 S 1.50
O  0.3852  0.1075  0.7729  1 Si 1.59
O  0.3853  0.7436  0.8289  1 Si 1.70
O  0.3850  0.8865  0.8881  1 Si 1.67
O  0.3880  0.2165  0.5584  1 Si 1.70, 1 Ta 1.89
O  0.3876  0.8893  0.1732  1 Si 1.63
O  0.3915  0.5571  0.5075  1 Si 1.63
O  0.3934  0.5495  0.2182  1 S 1.49
O  0.3967  0.4132  0.4437  1 Si 1.63
O  0.3978  0.7462  0.1074  1 Si 1.64
O  0.4048  0.2321  0.4447  1 Si 1.61
O  0.4071  0.2305  0.8463  1 Si 1.66
O  0.4116  0.4033  0.8481  1 Si 1.65
O  0.4176  0.5594  0.1112  1 S 1.47
O  0.4230  0.5724  0.8250  1 Si 1.66
O  0.4226  0.7375  0.5045  1 Si 1.64
O  0.4240  0.0681  0.1728  1 Si 1.62
O  0.4252  0.0677  0.8868  1 Si 1.67
O  0.4267  0.7320  0.2215  1 Si 1.66
O  0.4330  0.4009  0.5584  1 Si 1.67
O  0.4343  0.2407  0.1594  1 Si 1.67
O  0.4351  0.9072  0.4927  1 Si 1.64
O  0.4677  0.8862  0.7729  1 Si 1.56
O  0.4792  0.3045  0.6633  1 Si 1.70
O  0.4851  0.6502  0.6081  1 Si 1.65
O  0.4870  0.6390  0.3249  1 Si 1.65
O  0.4904  0.9721  0.9910  1 Si 1.63
O  0.4944  0.9711  0.2755  1 Si 1.63
O  0.4975  0.6623  0.7238  1 Si 1.68
O  0.4988  0.3186  0.3455  1 Si 1.63
O  0.4992  0.6592  0.0099  1 Si 1.65
O  0.5021  0.3056  0.9446  1 Si 1.63
O  0.5016  0.3300  0.0597  1 Si 1.67
O  0.5020  0.9966  0.3920  1 Si 1.65
O  0.5240  0.9915  0.6722  1 S 1.45
O  0.5975  0.4544  0.7725  1 Si 1.59
O  0.6137  0.4987  0.1656  1 S 1.47
O  0.6281  0.1565  0.4952  1 Si 1.59
O  0.6367  0.1385  0.1080  1 Si 1.64
O  0.6389  0.8076  0.4428  1 Si 1.64
O  0.6412  0.1670  0.2219  1 Si 1.65
O  0.6413  0.8345  0.5566  1 Si 1.63
O  0.6415  0.5015  0.8857  1 Si 1.66
O  0.6441  0.7998  0.1614  1 Si 1.65
O  0.6450  0.4664  0.4910  1 Si 1.64
O  0.6446  0.8115  0.8469  1 Si 1.63
O  0.6495  0.1423  0.8254  1 Si 1.65
O  0.6782  0.3810  0.2677  1 Si 1.59
O  0.6981  0.5711  0.6613  1 Si 1.59
O  0.7014  0.7436  0.6576  1 Si 1.65
O  0.7037  0.9025  0.0596  1 Si 1.64
O  0.7078  0.0444  0.6093  1 S 1.47
O  0.7079  0.2352  0.7211  1 Si 1.72
O  0.7081  0.5668  0.3846  1 Si 1.65
O  0.7119  0.7304  0.9457  1 Si 1.63
O  0.7133  0.4032  0.9911  1 Si 1.63
O  0.7136  0.0671  0.3238  1 Si 1.65
O  0.7144  0.2340  0.0081  1 Si 1.65
O  0.7157  0.2563  0.6022  1 Si 1.58
O  0.7169  0.9029  0.3394  1 Si 1.66
O  0.7402  0.7254  0.3437  1 Si 1.66
O  0.7411  0.3909  0.6666  1 Si 1.60
O  0.7466  0.0510  0.7163  1 S 1.51
O  0.7472  0.9131  0.9468  1 Si 1.63
O  0.7480  0.6071  0.2691  1 Si 1.60
O  0.7486  0.7186  0.0613  1 Si 1.65
O  0.7499  0.0543  0.0056  1 Si 1.64
O  0.7519  0.5765  0.9929  1 Si 1.64
O  0.7546  0.3880  0.3852  1 Si 1.67
O  0.7620  0.2428  0.3283  1 Si 1.68
O  0.7636  0.9179  0.6663  1 S 1.50
O  0.8699  0.6097  0.7780  1 Si 1.59
O  0.8821  0.5791  0.4889  1 Si 1.63
O  0.8848  0.3902  0.8839  1 Si 1.65
O  0.8848  0.9125  0.1603  1 Si 1.65
O  0.8872  0.2450  0.8256  1 Si 1.71
O  0.8884  0.7193  0.5530  1 Si 1.67
O  0.8907  0.3829  0.1598  1 Si 1.60
O  0.8922  0.0549  0.2237  1 Si 1.65
O  0.8932  0.0478  0.4931  1 Si 1.60
O  0.9024  0.2354  0.1092  1 Si 1.65
O  0.9023  0.9044  0.4405  1 Si 1.65
O  0.9076  0.9036  0.8480  1 Si 1.64
O  0.9090  0.7308  0.8484  1 Si 1.66
O  0.9243  0.0735  0.8245  1 Si 1.66
O  0.9245  0.4087  0.4908  1 Si 1.64
O  0.9264  0.0607  0.1050  1 Si 1.64
O  0.9273  0.9015  0.5585  1 Si 1.66
O  0.9293  0.2404  0.4937  1 Si 1.60
O  0.9291  0.7408  0.1604  1 Si 1.65
O  0.9303  0.2378  0.2252  1 Si 1.66
O  0.9305  0.5716  0.1610  1 Si 1.61
O  0.9314  0.5686  0.8901  1 Si 1.65
O  0.9315  0.7291  0.4366  1 Si 1.64
O  0.9662  0.3843  0.7670  1 Si 1.58
O  0.9842  0.8002  0.6598  1 Si 1.67
O  0.9922  0.1556  0.0037  1 Si 1.63
O  0.9926  0.8294  0.3358  1 Si 1.64
O  0.9938  0.4704  0.9923  1 Si 1.63
O  0.9952  0.5009  0.3831  1 Si 1.67
O  0.9963  0.1341  0.3253  1 Si 1.66
O  0.9966  0.8338  0.0560  1 Si 1.64
O  0.9990  0.1626  0.7210  1 Si 1.72



Record 5
Tm2Ge5Rh3 | GGA-PBE | relaxed

Values from the calculation:
DFT total energy = -246.4 eV for the cell shown
Energy of formation = -71.8 kJ/mol of atoms

a = 11.5179 Å, b = 12.0530 Å, c = 5.9012 Å
α = 90.00°, β = 118.57°, γ = 90.00°
With the nearest neighbours (Å) after each atom.
Space group C2/c (No. 15)
Symmetry-distinct sites (fractional):
Tm  0.2286  0.1372  0.2326  10 Ge 3.00-3.34, 3 Rh 3.14-3.22
Ge  0.0000  0.0079  0.2500  4 Rh 2.50-2.52
Ge  0.0000  0.2782  0.2500  3 Rh 2.51-2.70, 2 Ge 2.68
Ge  0.0000  0.2878  0.7500  3 Rh 2.44-2.53, 2 Ge 2.69
Ge  0.1675  0.4045  0.1671  3 Rh 2.39-2.55
Rh  0.0000  0.4980  0.7500  6 Ge 2.50-2.70
Rh  0.1035  0.1435  0.6183  5 Ge 2.39-2.52



Record 6
LaSmB12 | GGA-PBE | relaxed

Values from the calculation:
DFT total energy = -96.9 eV for the cell shown
Energy of formation = -48.9 kJ/mol of atoms

a = 4.1354 Å, b = 4.1354 Å, c = 8.2745 Å
α = 90.00°, β = 90.00°, γ = 90.00°
With the nearest neighbours (Å) after each atom.
Space group P4/mmm (No. 123)
Symmetry-distinct sites (fractional):
La  0.0000  0.0000  0.0000  24 B 3.04
Sm  0.0000  0.0000  0.5000  24 B 3.03-3.04
B  0.1993  0.5000  0.2511  5 B 1.65-1.76
B  0.5000  0.5000  0.1007  5 B 1.67-1.76
B  0.5000  0.5000  0.4007  5 B 1.64-1.75



Record 7
PrEr3Mn8 | GGA-PBE | relaxed

Values from the calculation:
DFT total energy = -179.8 eV for the cell shown
Energy of formation = 15.0 kJ/mol of atoms

a = 9.1384 Å, b = 5.3763 Å, c = 8.5782 Å
α = 90.00°, β = 90.68°, γ = 90.00°
With the nearest neighbours (Å) after each atom.
Space group Cm (No. 8)
Symmetry-distinct sites (fractional):
Pr  0.0000  0.0000  0.0000  12 Mn 3.09-3.16, 4 Er 3.22-3.29
Er  0.0012  0.0000  0.3785  12 Mn 2.96-3.14, 3 Er 3.23-3.25, 1 Pr 3.25
Er  0.1673  0.5000  0.8726  12 Mn 3.09-3.18, 1 Er 3.20, 3 Pr 3.22-3.29
Er  0.1680  0.5000  0.4995  12 Mn 2.99-3.14, 4 Er 3.20-3.25
Mn  0.0118  0.5000  0.1917  6 Mn 2.61-2.71
Mn  0.1575  0.0000  0.6829  6 Mn 2.62-2.69
Mn  0.2547  0.2447  0.1952  6 Mn 2.57-2.75
Mn  0.3345  0.0000  0.4392  6 Mn 2.55-2.69
Mn  0.3352  0.0000  0.9349  6 Mn 2.65-2.71
Mn  0.4134  0.2445  0.6808  6 Mn 2.55-2.75



Record 8
Rb3Gd | GGA-PBE | relaxed

Values from the calculation:
DFT total energy = -14.1 eV for the cell shown
Energy of formation = 69.8 kJ/mol of atoms

a = 5.7430 Å, b = 5.7430 Å, c = 5.7430 Å
α = 90.00°, β = 90.00°, γ = 90.00°
With the nearest neighbours (Å) after each atom.
Space group Pm-3m (No. 221)
Symmetry-distinct sites (fractional):
Rb  0.0000  0.0000  0.5000  4 Gd 4.06, 8 Rb 4.06
Gd  0.5000  0.5000  0.5000  12 Rb 4.06



Record 9
Ca3Sn13Ir4 | GGA-PBE | relaxed

Values from the calculation:
DFT total energy = -204.5 eV for the cell shown
Energy of formation = -42.2 kJ/mol of atoms

a = 9.8515 Å, b = 9.8515 Å, c = 9.8515 Å
α = 90.00°, β = 90.00°, γ = 90.00°
With the nearest neighbours (Å) after each atom.
Space group Pm-3n (No. 223)
Symmetry-distinct sites (fractional):
Ca  0.0000  0.2500  0.5000  12 Sn 3.47-3.48, 4 Ir 3.48
Sn  0.0000  0.0000  0.0000  12 Sn 3.34
Sn  0.0000  0.3029  0.1522  2 Ir 2.70, 1 Sn 3.00
Ir  0.2500  0.2500  0.2500  6 Sn 2.70



Record 10
ZnBi2O6 | GGA-PBE | relaxed

Values from the calculation:
DFT total energy = -92.2 eV for the cell shown
Energy of formation = -123.1 kJ/mol of atoms

a = 8.0322 Å, b = 5.6192 Å, c = 5.5617 Å
α = 90.00°, β = 90.00°, γ = 90.00°
With the nearest neighbours (Å) after each atom.
Space group Pmn2_1 (No. 31)
Symmetry-distinct sites (fractional):
Zn  0.0000  0.1962  0.0000  4 O 2.06
Bi  0.2496  0.2534  0.4948  6 O 2.11-2.20
O  0.0000  0.3068  0.6473  1 Zn 2.06, 2 Bi 2.20
O  0.0000  0.8454  0.8896  1 Zn 2.06, 2 Bi 2.17
O  0.1774  0.9439  0.3077  2 Bi 2.11-2.15
O  0.1780  0.4125  0.1514  1 Zn 2.06, 2 Bi 2.15-2.19



> Which of these has the highest energy of formation?

Rb3Gd